# MgAg2Hg2O4, optimized geometry, DFT PBE
# theoretical density: 7.19 g/cm³
# magnetization: 0.0 μB/cell
# DFT total energy: -0.1374 Ha/atom
# ΔH_f (0 K): -970 meV per atom
# E above lowest polymorph: 0.0 meV/atom
# crystal system: triclinic
data_MgAg2Hg2O4
_chemical_formula_sum 'Mg1 Ag2 Hg2 O4'
_symmetry_space_group_name_H-M 'P 1'
_symmetry_Int_Tables_number 1
_cell_length_a 3.579
_cell_length_b 6.833
_cell_length_c 7.362
_cell_angle_alpha 69.19
_cell_angle_beta 76.21
_cell_angle_gamma 80.36
loop_
_symmetry_equiv_pos_as_xyz
'x,y,z'
loop_
_atom_site_label
_atom_site_fract_x
_atom_site_fract_y
_atom_site_fract_z
Mg1 0.000 0.000 0.000
Ag1 0.382 0.679 0.342
Ag2 0.841 0.378 0.638
Hg1 0.272 0.406 0.075
Hg2 0.817 0.880 0.644
O1 0.071 0.687 0.116
O2 0.118 0.074 0.707
O3 0.429 0.105 0.069
O4 0.508 0.664 0.621

***

# RbCe3Te8, optimized geometry, DFT PBE
# theoretical density: 6.07 g/cm³
# magnetization: 9.6 μB/cell
# DFT total energy: -0.1747 Ha/atom
# ΔH_f (0 K): -1375 meV per atom
# crystal system: monoclinic
data_RbCe3Te8
_chemical_formula_sum 'Rb4 Ce12 Te32'
_symmetry_space_group_name_H-M 'P 1'
_symmetry_Int_Tables_number 1
_cell_length_a 14.176
_cell_length_b 13.081
_cell_length_c 9.134
_cell_angle_alpha 90.00
_cell_angle_beta 99.34
_cell_angle_gamma 90.00
loop_
_symmetry_equiv_pos_as_xyz
'x,y,z'
loop_
_atom_site_label
_atom_site_fract_x
_atom_site_fract_y
_atom_site_fract_z
Rb1 0.037 0.092 0.257
Rb2 0.037 0.408 0.757
Rb3 0.963 0.592 0.243
Rb4 0.963 0.908 0.743
Ce1 0.342 0.749 0.085
Ce2 0.342 0.751 0.585
Ce3 0.351 0.085 0.080
Ce4 0.351 0.415 0.580
Ce5 0.353 0.084 0.597
Ce6 0.353 0.416 0.097
Ce7 0.647 0.584 0.903
Ce8 0.647 0.916 0.403
Ce9 0.649 0.585 0.420
Ce10 0.649 0.915 0.920
Ce11 0.658 0.249 0.415
Ce12 0.658 0.251 0.915
Te1 0.171 0.730 0.793
Te2 0.171 0.770 0.293
Te3 0.176 0.575 0.037
Te4 0.176 0.575 0.551
Te5 0.176 0.925 0.051
Te6 0.176 0.925 0.537
Te7 0.177 0.092 0.794
Te8 0.177 0.408 0.294
Te9 0.180 0.249 0.545
Te10 0.180 0.251 0.045
Te11 0.411 0.577 0.851
Te12 0.411 0.923 0.351
Te13 0.412 0.585 0.354
Te14 0.412 0.915 0.854
Te15 0.417 0.245 0.355
Te16 0.417 0.255 0.855
Te17 0.583 0.745 0.145
Te18 0.583 0.755 0.645
Te19 0.588 0.085 0.146
Te20 0.588 0.415 0.646
Te21 0.589 0.077 0.649
Te22 0.589 0.423 0.149
Te23 0.820 0.749 0.955
Te24 0.820 0.751 0.455
Te25 0.823 0.592 0.706
Te26 0.823 0.908 0.206
Te27 0.824 0.075 0.463
Te28 0.824 0.075 0.949
Te29 0.824 0.425 0.449
Te30 0.824 0.425 0.963
Te31 0.829 0.230 0.707
Te32 0.829 0.270 0.207

***

# Zr3Ni3Sb4, optimized geometry, DFT PBE
# theoretical density: 8.15 g/cm³
# DFT total energy: -0.2426 Ha/atom
# ΔH_f (0 K): -728 meV per atom
# maximum piezoelectric response: 1.47 C/m2
# crystal system: cubic
data_Zr3Ni3Sb4
_chemical_formula_sum 'Zr6 Ni6 Sb8'
_symmetry_space_group_name_H-M 'P 1'
_symmetry_Int_Tables_number 1
_cell_length_a 7.914
_cell_length_b 7.914
_cell_length_c 7.914
_cell_angle_alpha 109.47
_cell_angle_beta 109.47
_cell_angle_gamma 109.47
loop_
_symmetry_equiv_pos_as_xyz
'x,y,z'
loop_
_atom_site_label
_atom_site_fract_x
_atom_site_fract_y
_atom_site_fract_z
Zr1 0.125 0.750 0.875
Zr2 0.250 0.625 0.375
Zr3 0.375 0.250 0.625
Zr4 0.625 0.375 0.250
Zr5 0.750 0.875 0.125
Zr6 0.875 0.125 0.750
Ni1 0.125 0.875 0.250
Ni2 0.250 0.125 0.875
Ni3 0.375 0.625 0.750
Ni4 0.625 0.750 0.375
Ni5 0.750 0.375 0.625
Ni6 0.875 0.250 0.125
Sb1 0.000 0.335 0.500
Sb2 0.000 0.835 0.500
Sb3 0.165 0.165 0.165
Sb4 0.335 0.500 0.000
Sb5 0.500 0.000 0.335
Sb6 0.500 0.000 0.835
Sb7 0.665 0.665 0.665
Sb8 0.835 0.500 0.000

***

# LiCuPO4, optimized geometry, DFT PBE
# theoretical density: 3.37 g/cm³
# magnetization: 24.4 μB/cell
# DFT total energy: -0.2277 Ha/atom
# ΔH_f (0 K): -2129 meV per atom
# E above lowest polymorph: 68.0 meV/atom
# crystal system: hexagonal
data_LiCuPO4
_chemical_formula_sum 'Li24 Cu24 P24 O96'
_symmetry_space_group_name_H-M 'P 1'
_symmetry_Int_Tables_number 1
_cell_length_a 9.953
_cell_length_b 9.953
_cell_length_c 22.813
_cell_angle_alpha 90.00
_cell_angle_beta 90.00
_cell_angle_gamma 120.00
loop_
_symmetry_equiv_pos_as_xyz
'x,y,z'
loop_
_atom_site_label
_atom_site_fract_x
_atom_site_fract_y
_atom_site_fract_z
Li1 0.019 0.484 0.003
Li2 0.024 0.941 0.833
Li3 0.059 0.083 0.500
Li4 0.061 0.510 0.669
Li5 0.062 0.554 0.332
Li6 0.083 0.024 0.667
Li7 0.446 0.509 0.999
Li8 0.449 0.939 0.002
Li9 0.465 0.981 0.336
Li10 0.484 0.465 0.170
Li11 0.490 0.551 0.335
Li12 0.491 0.938 0.666
Li13 0.509 0.062 0.166
Li14 0.510 0.449 0.835
Li15 0.516 0.535 0.670
Li16 0.535 0.019 0.836
Li17 0.551 0.061 0.502
Li18 0.554 0.491 0.499
Li19 0.917 0.976 0.167
Li20 0.938 0.446 0.832
Li21 0.939 0.490 0.169
Li22 0.941 0.917 0.000
Li23 0.976 0.059 0.333
Li24 0.981 0.516 0.503
Cu1 0.108 0.301 0.092
Cu2 0.145 0.832 0.099
Cu3 0.168 0.312 0.766
Cu4 0.181 0.784 0.794
Cu5 0.193 0.892 0.425
Cu6 0.216 0.398 0.461
Cu7 0.301 0.193 0.258
Cu8 0.312 0.145 0.933
Cu9 0.325 0.652 0.897
Cu10 0.328 0.675 0.231
Cu11 0.348 0.672 0.564
Cu12 0.398 0.181 0.628
Cu13 0.602 0.819 0.128
Cu14 0.652 0.328 0.064
Cu15 0.672 0.325 0.731
Cu16 0.675 0.348 0.397
Cu17 0.688 0.855 0.433
Cu18 0.699 0.807 0.758
Cu19 0.784 0.602 0.961
Cu20 0.807 0.108 0.925
Cu21 0.819 0.216 0.294
Cu22 0.832 0.688 0.266
Cu23 0.855 0.168 0.599
Cu24 0.892 0.699 0.592
P1 0.112 0.338 0.228
P2 0.128 0.779 0.923
P3 0.147 0.324 0.897
P4 0.177 0.853 0.230
P5 0.221 0.349 0.590
P6 0.226 0.888 0.561
P7 0.312 0.640 0.090
P8 0.324 0.177 0.063
P9 0.328 0.688 0.423
P10 0.338 0.226 0.394
P11 0.349 0.128 0.757
P12 0.360 0.672 0.757
P13 0.640 0.328 0.257
P14 0.651 0.872 0.257
P15 0.662 0.774 0.894
P16 0.672 0.312 0.923
P17 0.676 0.823 0.563
P18 0.688 0.360 0.590
P19 0.774 0.112 0.061
P20 0.779 0.651 0.090
P21 0.823 0.147 0.730
P22 0.853 0.676 0.397
P23 0.872 0.221 0.423
P24 0.888 0.662 0.728
O1 0.003 0.201 0.268
O2 0.015 0.713 0.216
O3 0.017 0.688 0.974
O4 0.023 0.175 0.928
O5 0.030 0.317 0.168
O6 0.064 0.195 0.578
O7 0.067 0.673 0.868
O8 0.076 0.730 0.550
O9 0.087 0.356 0.838
O10 0.131 0.936 0.911
O11 0.137 0.491 0.256
O12 0.152 0.977 0.262
O13 0.154 0.634 0.097
O14 0.175 0.152 0.095
O15 0.184 0.462 0.939
O16 0.186 0.480 0.606
O17 0.195 0.131 0.744
O18 0.197 0.997 0.602
O19 0.201 0.197 0.435
O20 0.209 0.714 0.390
O21 0.211 0.652 0.728
O22 0.250 0.612 0.485
O23 0.268 0.913 0.171
O24 0.270 0.346 0.217
O25 0.278 0.816 0.272
O26 0.286 0.494 0.056
O27 0.287 0.301 0.883
O28 0.288 0.970 0.502
O29 0.294 0.814 0.939
O30 0.301 0.015 0.049
O31 0.312 0.329 0.641
O32 0.317 0.288 0.335
O33 0.327 0.394 0.535
O34 0.329 0.017 0.808
O35 0.346 0.076 0.383
O36 0.348 0.560 0.395
O37 0.354 0.863 0.590
O38 0.356 0.268 0.004
O39 0.362 0.750 0.818
O40 0.366 0.520 0.764
O41 0.388 0.638 0.152
O42 0.394 0.067 0.701
O43 0.440 0.789 0.062
O44 0.462 0.278 0.105
O45 0.480 0.294 0.772
O46 0.480 0.846 0.430
O47 0.491 0.354 0.423
O48 0.494 0.209 0.223
O49 0.506 0.791 0.723
O50 0.509 0.646 0.923
O51 0.520 0.154 0.930
O52 0.520 0.706 0.272
O53 0.538 0.722 0.605
O54 0.560 0.211 0.562
O55 0.606 0.933 0.201
O56 0.612 0.362 0.652
O57 0.634 0.480 0.264
O58 0.638 0.250 0.318
O59 0.644 0.732 0.504
O60 0.646 0.137 0.090
O61 0.652 0.440 0.895
O62 0.654 0.924 0.883
O63 0.671 0.983 0.308
O64 0.673 0.606 0.035
O65 0.683 0.712 0.835
O66 0.688 0.671 0.141
O67 0.699 0.985 0.549
O68 0.706 0.186 0.439
O69 0.712 0.030 0.002
O70 0.713 0.699 0.383
O71 0.714 0.506 0.556
O72 0.722 0.184 0.772
O73 0.730 0.654 0.717
O74 0.732 0.087 0.671
O75 0.750 0.388 0.985
O76 0.789 0.348 0.228
O77 0.791 0.286 0.890
O78 0.799 0.803 0.935
O79 0.803 0.003 0.102
O80 0.805 0.869 0.244
O81 0.814 0.520 0.106
O82 0.816 0.538 0.439
O83 0.825 0.848 0.595
O84 0.846 0.366 0.597
O85 0.848 0.023 0.762
O86 0.863 0.509 0.756
O87 0.869 0.064 0.411
O88 0.913 0.644 0.338
O89 0.924 0.270 0.050
O90 0.933 0.327 0.368
O91 0.936 0.805 0.078
O92 0.970 0.683 0.668
O93 0.977 0.825 0.428
O94 0.983 0.312 0.474
O95 0.985 0.287 0.716
O96 0.997 0.799 0.768

***

# Tm2Mn17C3, optimized geometry, DFT PBE
# theoretical density: 8.48 g/cm³
# magnetization: 0.7 μB/cell
# DFT total energy: -0.3250 Ha/atom
# ΔH_f (0 K): -99 meV per atom
# crystal system: hexagonal
data_Tm2Mn17C3
_chemical_formula_sum 'Tm4 Mn34 C6'
_symmetry_space_group_name_H-M 'P 1'
_symmetry_Int_Tables_number 1
_cell_length_a 8.467
_cell_length_b 8.467
_cell_length_c 8.246
_cell_angle_alpha 90.00
_cell_angle_beta 90.00
_cell_angle_gamma 120.00
loop_
_symmetry_equiv_pos_as_xyz
'x,y,z'
loop_
_atom_site_label
_atom_site_fract_x
_atom_site_fract_y
_atom_site_fract_z
Tm1 0.000 0.000 0.250
Tm2 0.000 0.000 0.750
Tm3 0.333 0.667 0.250
Tm4 0.667 0.333 0.750
Mn1 0.000 0.500 0.000
Mn2 0.000 0.500 0.500
Mn3 0.059 0.389 0.750
Mn4 0.059 0.671 0.750
Mn5 0.170 0.341 0.025
Mn6 0.170 0.341 0.475
Mn7 0.170 0.830 0.025
Mn8 0.170 0.830 0.475
Mn9 0.329 0.389 0.750
Mn10 0.329 0.941 0.750
Mn11 0.333 0.667 0.606
Mn12 0.333 0.667 0.894
Mn13 0.341 0.170 0.525
Mn14 0.341 0.170 0.975
Mn15 0.389 0.059 0.250
Mn16 0.389 0.329 0.250
Mn17 0.500 0.000 0.000
Mn18 0.500 0.000 0.500
Mn19 0.500 0.500 0.000
Mn20 0.500 0.500 0.500
Mn21 0.611 0.671 0.750
Mn22 0.611 0.941 0.750
Mn23 0.659 0.830 0.025
Mn24 0.659 0.830 0.475
Mn25 0.667 0.333 0.106
Mn26 0.667 0.333 0.394
Mn27 0.671 0.059 0.250
Mn28 0.671 0.611 0.250
Mn29 0.830 0.170 0.525
Mn30 0.830 0.170 0.975
Mn31 0.830 0.659 0.525
Mn32 0.830 0.659 0.975
Mn33 0.941 0.329 0.250
Mn34 0.941 0.611 0.250
C1 0.165 0.329 0.250
C2 0.165 0.835 0.250
C3 0.329 0.165 0.750
C4 0.671 0.835 0.250
C5 0.835 0.165 0.750
C6 0.835 0.671 0.750

***

# Nb3SnGeMo3, optimized geometry, DFT PBE
# theoretical density: 9.22 g/cm³
# magnetization: 0.0 μB/cell
# DFT total energy: -0.3354 Ha/atom
# ΔH_f (0 K): -192 meV per atom
# crystal system: trigonal
data_Nb3SnGeMo3
_chemical_formula_sum 'Nb3 Sn1 Ge1 Mo3'
_symmetry_space_group_name_H-M 'P 1'
_symmetry_Int_Tables_number 1
_cell_length_a 5.150
_cell_length_b 5.150
_cell_length_c 5.150
_cell_angle_alpha 89.89
_cell_angle_beta 89.89
_cell_angle_gamma 89.89
loop_
_symmetry_equiv_pos_as_xyz
'x,y,z'
loop_
_atom_site_label
_atom_site_fract_x
_atom_site_fract_y
_atom_site_fract_z
Nb1 0.004 0.747 0.249
Nb2 0.249 0.004 0.747
Nb3 0.747 0.249 0.004
Sn1 0.747 0.747 0.747
Ge1 0.248 0.248 0.248
Mo1 0.249 0.494 0.748
Mo2 0.494 0.748 0.249
Mo3 0.748 0.249 0.494

***

# PrSmZn2, optimized geometry, DFT PBE
# theoretical density: 7.03 g/cm³
# DFT total energy: -0.1220 Ha/atom
# ΔH_f (0 K): -316 meV per atom
# crystal system: cubic
data_PrSmZn2
_chemical_formula_sum 'Pr1 Sm1 Zn2'
_symmetry_space_group_name_H-M 'P 1'
_symmetry_Int_Tables_number 1
_cell_length_a 5.206
_cell_length_b 5.206
_cell_length_c 5.206
_cell_angle_alpha 60.00
_cell_angle_beta 60.00
_cell_angle_gamma 60.00
loop_
_symmetry_equiv_pos_as_xyz
'x,y,z'
loop_
_atom_site_label
_atom_site_fract_x
_atom_site_fract_y
_atom_site_fract_z
Pr1 0.000 0.000 0.000
Sm1 0.500 0.500 0.500
Zn1 0.250 0.250 0.250
Zn2 0.750 0.750 0.750

***

# Pr4Ag2Se7, optimized geometry, DFT PBE
# theoretical density: 6.33 g/cm³
# magnetization: 0.0 μB/cell
# DFT total energy: -0.1905 Ha/atom
# ΔH_f (0 K): -1650 meV per atom
# maximum piezoelectric response: 1.60 C/m2
# crystal system: monoclinic
data_Pr4Ag2Se7
_chemical_formula_sum 'Pr8 Ag4 Se14'
_symmetry_space_group_name_H-M 'P 1'
_symmetry_Int_Tables_number 1
_cell_length_a 7.564
_cell_length_b 12.389
_cell_length_c 7.885
_cell_angle_alpha 90.00
_cell_angle_beta 108.90
_cell_angle_gamma 90.00
loop_
_symmetry_equiv_pos_as_xyz
'x,y,z'
loop_
_atom_site_label
_atom_site_fract_x
_atom_site_fract_y
_atom_site_fract_z
Pr1 0.000 0.062 0.000
Pr2 0.000 0.938 0.500
Pr3 0.429 0.149 0.793
Pr4 0.429 0.851 0.293
Pr5 0.619 0.204 0.352
Pr6 0.619 0.796 0.852
Pr7 0.927 0.372 0.802
Pr8 0.927 0.628 0.302
Ag1 0.133 0.315 0.372
Ag2 0.133 0.685 0.872
Ag3 0.536 0.442 0.002
Ag4 0.536 0.558 0.502
Se1 0.007 0.169 0.636
Se2 0.007 0.831 0.136
Se3 0.272 0.068 0.373
Se4 0.272 0.932 0.873
Se5 0.293 0.290 0.050
Se6 0.293 0.710 0.550
Se7 0.486 0.349 0.601
Se8 0.486 0.651 0.101
Se9 0.682 0.004 0.166
Se10 0.682 0.996 0.666
Se11 0.785 0.253 0.046
Se12 0.785 0.747 0.546
Se13 0.841 0.422 0.417
Se14 0.841 0.578 0.917